Record 1
TbAl6Fe6 | meta-GGA r2SCAN | relaxed

abc: 12.160 4.968 8.599
angles: 90.00 134.85 90.00
Space group C2/m (No. 12)
One atom of each set of equivalent atoms:
Tb (0.000, 0.000, 0.000) (multiplicity 2)
Al (0.000, 0.000, 0.338) (multiplicity 4)
Al (0.153, 0.500, 0.653) (multiplicity 4)
Al (0.197, 0.500, 0.197) (multiplicity 4)
Fe (0.000, 0.500, 0.239) (multiplicity 4)
Fe (0.250, 0.250, 0.000) (multiplicity 4)
Fe (0.250, 0.250, 0.500) (multiplicity 4)

Summary:
Crystal system: monoclinic
DFT total energy (eV per atom): -12.49
Total magnetic moment (μB per atom): 0.94
Calculated formation energy (eV/atom): -0.33
Volume (Å³/cell): 368

---

Record 2
NaYTl2 | meta-GGA r2SCAN | relaxed

abc: 7.499 7.499 7.499
angles: 90.00 90.00 90.00
Space group Fm-3m (No. 225)
One atom of each set of equivalent atoms:
Na (0.000, 0.000, 0.000) (multiplicity 4)
Y (0.000, 0.000, 0.500) (multiplicity 4)
Tl (0.250, 0.250, 0.250) (multiplicity 8)

Summary:
Crystal system: cubic
DFT total energy (eV per atom): -32.88
Total magnetic moment (μB per atom): 0.00
Calculated formation energy (eV/atom): -0.32
Volume (Å³/cell): 422

---

Record 3
MnGaPt2 | meta-GGA r2SCAN | relaxed

abc: 6.189 6.189 6.189
angles: 90.00 90.00 90.00
Space group Fm-3m (No. 225)
One atom of each set of equivalent atoms:
Mn (0.000, 0.000, 0.000) (multiplicity 4)
Ga (0.000, 0.000, 0.500) (multiplicity 4)
Pt (0.250, 0.250, 0.250) (multiplicity 8)

Summary:
Crystal system: cubic
DFT total energy (eV per atom): -32.96
Total magnetic moment (μB per atom): 1.10
Calculated formation energy (eV/atom): -0.69
Volume (Å³/cell): 237

---

Record 4
PrInAg2 | meta-GGA r2SCAN | relaxed

abc: 7.128 7.128 7.128
angles: 90.00 90.00 90.00
Space group Fm-3m (No. 225)
One atom of each set of equivalent atoms:
Pr (0.000, 0.000, 0.000) (multiplicity 4)
In (0.000, 0.000, 0.500) (multiplicity 4)
Ag (0.250, 0.250, 0.250) (multiplicity 8)

Summary:
Crystal system: cubic
DFT total energy (eV per atom): -24.08
Total magnetic moment (μB per atom): 0.00
Calculated formation energy (eV/atom): -0.40
Volume (Å³/cell): 362

---

Record 5
SbClF10 | meta-GGA r2SCAN | relaxed

abc: 5.872 15.034 7.961
angles: 90.00 90.00 90.00
Space group Pbcm (No. 57)
One atom of each set of equivalent atoms:
Sb (0.092, 0.142, 0.250) (multiplicity 4)
Cl (0.412, 0.659, 0.750) (multiplicity 4)
F (0.089, 0.146, 0.014) (multiplicity 8)
F (0.101, 0.542, 0.250) (multiplicity 4)
F (0.170, 0.720, 0.250) (multiplicity 4)
F (0.193, 0.599, 0.750) (multiplicity 4)
F (0.279, 0.247, 0.250) (multiplicity 4)
F (0.357, 0.072, 0.250) (multiplicity 4)
F (0.404, 0.084, 0.750) (multiplicity 4)
F (0.411, 0.654, 0.542) (multiplicity 8)

Summary:
Crystal system: orthorhombic
DFT total energy (eV per atom): -6.77
Total magnetic moment (μB per atom): 0.00
Calculated formation energy (eV/atom): -1.51
Volume (Å³/cell): 703

---

Record 6
Sm2Hf2O7 | meta-GGA r2SCAN | relaxed

abc: 10.558 10.558 10.558
angles: 90.00 90.00 90.00
Space group Fd-3m (No. 227, origin choice 2)
One atom of each set of equivalent atoms:
Sm (0.000, 0.000, 0.000) (multiplicity 16)
Hf (0.000, 0.000, 0.500) (multiplicity 16)
O (0.084, 0.375, 0.875) (multiplicity 48)
O (0.125, 0.125, 0.125) (multiplicity 8)

Summary:
Crystal system: cubic
DFT total energy (eV per atom): -21.32
Total magnetic moment (μB per atom): 0.00
Calculated formation energy (eV/atom): -3.90
Volume (Å³/cell): 1177

---

Record 7
CeP12Ru4 | meta-GGA r2SCAN | relaxed

abc: 8.055 8.055 8.055
angles: 90.00 90.00 90.00
Space group Im-3 (No. 204)
One atom of each set of equivalent atoms:
Ce (0.000, 0.000, 0.000) (multiplicity 2)
P (0.000, 0.357, 0.143) (multiplicity 24)
Ru (0.250, 0.250, 0.250) (multiplicity 8)

Summary:
Crystal system: cubic
DFT total energy (eV per atom): -14.90
Total magnetic moment (μB per atom): 0.00
Calculated formation energy (eV/atom): -0.75
Volume (Å³/cell): 523

---

Record 8
NdCu2 | meta-GGA r2SCAN | relaxed

abc: 4.312 7.129 7.402
angles: 90.00 90.00 90.00
Space group Imma (No. 74)
One atom of each set of equivalent atoms:
Nd (0.000, 0.250, 0.035) (multiplicity 4)
Cu (0.000, 0.046, 0.666) (multiplicity 8)

Summary:
Crystal system: orthorhombic
DFT total energy (eV per atom): -17.23
Total magnetic moment (μB per atom): 0.00
Calculated formation energy (eV/atom): -0.20
Volume (Å³/cell): 228

---

Record 9
KGdS2 | meta-GGA r2SCAN | relaxed

abc: 4.0903 4.0903 21.9806
angles: 90.00 90.00 120.00
Space group R-3m (No. 166, hexagonal axes)
One atom of each set of equivalent atoms:
K (0.0000, 0.0000, 0.0000) (multiplicity 3)
Gd (0.0000, 0.0000, 0.5000) (multiplicity 3)
S (0.0000, 0.0000, 0.2347) (multiplicity 6)

Summary:
Crystal system: trigonal
DFT total energy (eV per atom): -18.50
Total magnetic moment (μB per atom): 1.75
Calculated formation energy (eV/atom): -2.13
Volume (Å³/cell): 318